Entry from Materials Project: Tb3Pr after structural relaxation (PBE-GGA).

**E_form**: 0.03 eV per atom
**Symmetry**: P6_3/mmc, No. 194
**ΔE to the lowest computed polymorph**: 1.1 kJ/mol of formula units

abc: 7.2861 7.2861 5.8643
angles: 90.00 90.00 120.00
Closest atoms and distances in Å follow each position.
Positions (direct):
1 Tb 0.1653 0.3306 0.2500  8 Tb 3.60-3.67, 4 Pr 3.62-3.64
2 Tb 0.1653 0.8347 0.2500  8 Tb 3.60-3.67, 4 Pr 3.62-3.64
3 Tb 0.3306 0.1653 0.7500  8 Tb 3.60-3.67, 4 Pr 3.62-3.64
4 Tb 0.6694 0.8347 0.2500  8 Tb 3.60-3.67, 4 Pr 3.62-3.64
5 Tb 0.8347 0.1653 0.7500  8 Tb 3.60-3.67, 4 Pr 3.62-3.64
6 Tb 0.8347 0.6694 0.7500  8 Tb 3.60-3.67, 4 Pr 3.62-3.64
7 Pr 0.3333 0.6667 0.7500  12 Tb 3.62-3.64
8 Pr 0.6667 0.3333 0.2500  12 Tb 3.62-3.64


Entry from Materials Project: Tb3Pr after structural relaxation (PBE-GGA).

**E_form**: 0.03 eV per atom
**Symmetry**: P-6m2, No. 187
**ΔE to the lowest computed polymorph**: 4.1 kJ/mol of formula units

abc: 3.6509 3.6509 11.6639
angles: 90.00 90.00 120.00
Closest atoms and distances in Å follow each position.
Positions (direct):
1 Tb 0.0000 0.0000 0.0000  12 Tb 3.55-3.65
2 Tb 0.6667 0.3333 0.2447  9 Tb 3.55-3.65, 3 Pr 3.65
3 Tb 0.6667 0.3333 0.7553  9 Tb 3.55-3.65, 3 Pr 3.65
4 Pr 0.0000 0.0000 0.5000  6 Tb 3.65, 6 Pr 3.65


Entry from Materials Project: Tb3Pr after structural relaxation (PBE-GGA).

**E_form**: 0.02 eV per atom
**Symmetry**: I4/mmm, No. 139
**ΔE to the lowest computed polymorph**: 0.0 kJ/mol of formula units

abc: 6.2317 6.2317 6.2317
angles: 131.62 131.62 70.84
Closest atoms and distances in Å follow each position.
Positions (direct):
1 Tb 0.0000 0.0000 0.0000  8 Tb 3.60, 4 Pr 3.61
2 Tb 0.2500 0.7500 0.5000  4 Pr 3.60, 8 Tb 3.60-3.61
3 Tb 0.7500 0.2500 0.5000  4 Pr 3.60, 8 Tb 3.60-3.61
4 Pr 0.5000 0.5000 0.0000  12 Tb 3.60-3.61